Record 1
## Mn3O4F2 (GGA+U)

Data for an optimized crystal structure of Mn3O4F2.

Unit cell a=4.6601 b=5.5317 c=7.6606 alpha=85.24 beta=86.91 gamma=86.26
Closest atoms and distances in Å follow each position.
Fractional coordinates of all 18 atoms:
Mn: 0.0000 0.0000 0.0000  4 O 1.93-1.99, 2 F 2.02
Mn: 0.0167 0.6801 0.3366  3 O 1.93-1.94, 3 F 2.05-2.13
Mn: 0.4742 0.1508 0.3240  5 O 1.93-1.96
Mn: 0.5000 0.5000 0.0000  4 O 1.96, 2 F 2.05
Mn: 0.5258 0.8492 0.6760  5 O 1.93-1.96
Mn: 0.9833 0.3199 0.6634  3 O 1.93-1.94, 3 F 2.05-2.13
O: 0.1932 0.9636 0.2270  3 Mn 1.93-1.99
O: 0.3012 0.4617 0.2311  3 Mn 1.93-1.96
O: 0.3076 0.1301 0.5652  3 Mn 1.94-1.96
O: 0.3084 0.7997 0.8970  3 Mn 1.93-1.96
O: 0.6916 0.2003 0.1030  3 Mn 1.93-1.96
O: 0.6924 0.8699 0.4348  3 Mn 1.94-1.96
O: 0.6988 0.5383 0.7689  3 Mn 1.93-1.96
O: 0.8068 0.0364 0.7730  3 Mn 1.93-1.99
F: 0.1985 0.2990 0.9028  3 Mn 2.02-2.13
F: 0.1999 0.6221 0.5784  3 Mn 2.05-2.23
F: 0.8001 0.3779 0.4216  3 Mn 2.05-2.23
F: 0.8015 0.7010 0.0972  3 Mn 2.02-2.13

- Crystal system: triclinic

Record 2
## Mn6OF11 (GGA+U)

Data for an optimized crystal structure of Mn6OF11.

Unit cell a=4.9643 b=16.2209 c=7.6547 alpha=90.00 beta=129.72 gamma=90.00
Closest atoms and distances in Å follow each position.
Fractional coordinates of all 36 atoms:
Mn: 0.0000 0.0011 0.0000  6 F 2.11-2.24
Mn: 0.0000 0.9989 0.5000  6 F 2.11-2.24
Mn: 0.6497 0.1679 0.6610  6 F 2.09-2.20
Mn: 0.6497 0.8321 0.1610  6 F 2.09-2.20
Mn: 0.6656 0.4960 0.6601  6 F 2.11-2.21
Mn: 0.6656 0.5040 0.1601  6 F 2.11-2.21
Mn: 0.6718 0.1719 0.1636  1 O 2.08, 5 F 2.10-2.25
Mn: 0.6718 0.8281 0.6636  1 O 2.08, 5 F 2.10-2.25
Mn: 0.9788 0.3316 0.4744  1 O 1.87, 2 F 2.05-2.06
Mn: 0.9788 0.6684 0.9744  1 O 1.87, 2 F 2.05-2.06
Mn: 0.9935 0.3291 0.0179  1 O 2.02, 4 F 2.11-2.22
Mn: 0.9935 0.6709 0.5179  1 O 2.02, 4 F 2.11-2.22
O: 0.9447 0.2819 0.2412  3 Mn 1.87-2.08
O: 0.9447 0.7181 0.7412  3 Mn 1.87-2.08
F: 0.1526 0.2231 0.9454  3 Mn 2.11-2.20
F: 0.1526 0.7769 0.4454  3 Mn 2.11-2.20
F: 0.1591 0.4428 0.4405  3 Mn 2.10-2.21
F: 0.1591 0.5572 0.9405  3 Mn 2.10-2.21
F: 0.1654 0.1083 0.4364  3 Mn 2.09-2.21
F: 0.1654 0.8917 0.9364  3 Mn 2.09-2.21
F: 0.4767 0.2799 0.7229  3 Mn 2.10-2.22
F: 0.4767 0.7201 0.2229  3 Mn 2.10-2.22
F: 0.4851 0.3939 0.2225  3 Mn 2.15-2.18
F: 0.4851 0.6061 0.7225  3 Mn 2.15-2.18
F: 0.4951 0.0612 0.2221  3 Mn 2.13-2.24
F: 0.4951 0.9388 0.7221  3 Mn 2.13-2.24
F: 0.6942 0.1094 0.9334  3 Mn 2.10-2.17
F: 0.6942 0.8906 0.4334  3 Mn 2.10-2.17
F: 0.7117 0.2285 0.4479  3 Mn 2.06-2.25
F: 0.7117 0.7715 0.9479  3 Mn 2.06-2.25
F: 0.7161 0.4433 0.9389  3 Mn 2.11-2.16
F: 0.7161 0.5567 0.4389  3 Mn 2.11-2.16
F: 0.9438 0.0580 0.7205  3 Mn 2.11-2.18
F: 0.9438 0.9420 0.2205  3 Mn 2.11-2.18
F: 0.9502 0.3845 0.7050  2 Mn 2.05-2.18
F: 0.9502 0.6155 0.2050  2 Mn 2.05-2.18

- Crystal system: monoclinic

Record 3
## Mn6O7F5 (GGA+U)

Data for an optimized crystal structure of Mn6O7F5.

Unit cell a=5.6088 b=5.6088 c=7.9316 alpha=111.93 beta=111.93 gamma=68.11
Closest atoms and distances in Å follow each position.
Fractional coordinates of all 18 atoms:
Mn: 0.0000 0.0000 0.0000  2 O 1.91, 3 F 1.96-2.09
Mn: 0.0059 0.0059 0.4911  4 O 1.95-1.96
Mn: 0.3374 0.3374 0.8306  4 O 1.96
Mn: 0.3455 0.3455 0.3238  3 O 1.92-1.93, 2 F 1.99-2.13
Mn: 0.6602 0.6602 0.1861  5 O 1.95-2.05
Mn: 0.6671 0.6671 0.6511  3 O 1.91-1.93, 3 F 1.95-2.07
O: 0.0316 0.6435 0.3265  3 Mn 1.92-1.95
O: 0.3073 0.6997 0.0011  3 Mn 1.91-1.97
O: 0.3670 0.9731 0.6626  3 Mn 1.91-1.96
O: 0.5696 0.5696 0.3789  3 Mn 1.93-2.05
O: 0.6435 0.0316 0.3265  3 Mn 1.92-1.95
O: 0.6997 0.3073 0.0011  3 Mn 1.91-1.97
O: 0.9731 0.3670 0.6626  3 Mn 1.91-1.96
F: 0.1214 0.1214 0.2953  2 Mn 1.99-2.09
F: 0.2236 0.2236 0.0236  3 Mn 2.00-2.22
F: 0.4517 0.4517 0.6353  1 Mn 1.95
F: 0.7714 0.7714 0.9429  2 Mn 1.96-2.07
F: 0.8921 0.8921 0.6962  2 Mn 1.96-2.15

- Crystal system: monoclinic

Record 4
## Mn3O4F2 (GGA+U)

Data for an optimized crystal structure of Mn3O4F2.

Unit cell a=5.5142 b=5.5142 c=7.6052 alpha=110.00 beta=110.00 gamma=69.47
Closest atoms and distances in Å follow each position.
Fractional coordinates of all 18 atoms:
Mn: 0.0000 0.0000 0.0000  2 F 1.89, 4 O 1.90-2.00
Mn: 0.0000 0.0000 0.5000  6 O 1.95-2.08
Mn: 0.3158 0.3158 0.3471  3 O 1.91-1.93, 2 F 1.98-2.09
Mn: 0.3372 0.3372 0.8281  4 O 1.94-1.96, 1 F 2.14
Mn: 0.6628 0.6628 0.1719  4 O 1.94-1.96, 1 F 2.14
Mn: 0.6842 0.6842 0.6529  3 O 1.91-1.93, 2 F 1.98-2.09
O: 0.0206 0.6326 0.3437  3 Mn 1.93-1.95
O: 0.0897 0.0897 0.2887  3 Mn 1.91-2.08
O: 0.3019 0.6981 0.0000  3 Mn 1.90-1.96
O: 0.3674 0.9794 0.6563  3 Mn 1.93-1.95
O: 0.6326 0.0206 0.3437  3 Mn 1.93-1.95
O: 0.6981 0.3019 0.0000  3 Mn 1.90-1.96
O: 0.9103 0.9103 0.7113  3 Mn 1.91-2.08
O: 0.9794 0.3674 0.6563  3 Mn 1.93-1.95
F: 0.2183 0.2183 0.0318  1 Mn 1.89
F: 0.4630 0.4630 0.6437  3 Mn 1.98-2.14
F: 0.5370 0.5370 0.3563  3 Mn 1.98-2.14
F: 0.7817 0.7817 0.9682  1 Mn 1.89

- Crystal system: monoclinic

Record 5
## Mn3O5F (GGA+U)

Data for an optimized crystal structure of Mn3O5F.

Unit cell a=10.4031 b=10.4031 c=2.9867 alpha=90.00 beta=90.00 gamma=144.68
Closest atoms and distances in Å follow each position.
Fractional coordinates of all 18 atoms:
Mn: 0.0000 0.0000 0.0000  6 O 1.92-1.95
Mn: 0.1622 0.8378 0.5000  6 O 1.94-1.98
Mn: 0.3218 0.6782 0.0000  4 O 1.90-1.93, 2 F 2.03
Mn: 0.5000 0.5000 0.5000  4 O 1.94, 2 F 2.15
Mn: 0.6782 0.3218 0.0000  4 O 1.90-1.93, 2 F 2.03
Mn: 0.8378 0.1622 0.5000  6 O 1.94-1.98
O: 0.0316 0.3621 0.0000  3 Mn 1.93-1.94
O: 0.0635 0.9365 0.5000  3 Mn 1.95-1.96
O: 0.2622 0.7378 0.5000  3 Mn 1.90-1.98
O: 0.3044 0.3044 0.0000  3 Mn 1.92-1.94
O: 0.3621 0.0316 0.0000  3 Mn 1.93-1.94
O: 0.6379 0.9684 0.0000  3 Mn 1.93-1.94
O: 0.6956 0.6956 0.0000  3 Mn 1.92-1.94
O: 0.7378 0.2622 0.5000  3 Mn 1.90-1.98
O: 0.9365 0.0635 0.5000  3 Mn 1.95-1.96
O: 0.9684 0.6379 0.0000  3 Mn 1.93-1.94
F: 0.3914 0.6086 0.5000  3 Mn 2.03-2.15
F: 0.6086 0.3914 0.5000  3 Mn 2.03-2.15

- Crystal system: orthorhombic

Record 6
## Mn8O13F3 (GGA+U)

Data for an optimized crystal structure of Mn8O13F3.

Unit cell a=4.5175 b=5.5527 c=9.9630 alpha=89.66 beta=89.58 gamma=87.50
Closest atoms and distances in Å follow each position.
Fractional coordinates of all 24 atoms:
Mn: 0.0000 0.0000 0.0000  5 O 1.89-1.95, 1 F 2.04
Mn: 0.0058 0.7022 0.7529  5 O 1.95-1.97, 1 F 2.17
Mn: 0.0172 0.0095 0.4935  5 O 1.89-2.03, 1 F 2.02
Mn: 0.0408 0.7254 0.2481  5 O 1.89-1.95, 1 F 2.03
Mn: 0.5080 0.2020 0.2465  5 O 1.94-2.01
Mn: 0.5150 0.5124 0.5040  5 O 1.91-2.05, 1 F 2.02
Mn: 0.5234 0.5243 0.0059  5 O 1.93-2.02
Mn: 0.5440 0.2234 0.7480  4 O 1.91-1.94, 2 F 2.01-2.07
O: 0.2422 0.7472 0.9129  3 Mn 1.95-1.97
O: 0.2467 0.9676 0.1579  3 Mn 1.89-2.01
O: 0.2647 0.7548 0.4134  3 Mn 1.94-1.95
O: 0.2863 0.4794 0.1657  3 Mn 1.91-1.97
O: 0.2923 0.4740 0.6653  3 Mn 1.91-1.97
O: 0.2946 0.2513 0.4146  3 Mn 1.94-2.03
O: 0.7462 0.2458 0.0849  3 Mn 1.94-1.97
O: 0.7462 0.4716 0.8383  3 Mn 1.92-1.96
O: 0.7650 0.2564 0.5846  3 Mn 1.92-1.97
O: 0.7821 0.9756 0.8342  3 Mn 1.91-1.96
O: 0.7936 0.7526 0.5850  3 Mn 1.95-2.05
O: 0.7944 0.7584 0.0912  3 Mn 1.89-2.02
O: 0.7957 0.9766 0.3349  3 Mn 1.89-1.97
F: 0.2617 0.9839 0.6627  3 Mn 2.02-2.17
F: 0.2739 0.2360 0.9098  3 Mn 2.01-2.22
F: 0.7669 0.4891 0.3361  3 Mn 2.02-2.21

- Crystal system: triclinic

| no. | E above lowest polymorph (meV per atom) | DFT formation energy (eV per atom) |
| --- | --- | --- |
| 1 | 22 | -2.12 |
| 2 | 20 | -2.83 |
| 3 | 0 | -2.24 |
| 4 | 23 | -2.12 |
| 5 | 5 | -1.95 |
| 6 | 23 | -1.95 |